(1)
VASP calculation (GGA+U) on a geometry-optimized LiNi4P3O12 structure.

Values from the calculation:
Largest piezoelectric modulus ... 0.14 C/m²
Size of the total moment ... 0.400 μB/atom

```
LiNi4P3O12
1.0
6.2550 7.2820 -3.8079
-0.8776 10.1832 1.4780
0.0004 -9.0530 4.9694
O P Ni Li
24 6 8 2
Direct
0.3429 0.0600 0.2860
0.7740 0.0570 0.7140
0.0107 0.7575 0.3550
0.5878 0.8782 0.1745
0.1632 0.9536 0.3255
0.9400 0.2260 0.2830
0.8100 0.5929 0.7860
0.3444 0.9893 0.7468
0.1218 0.2964 0.7096
0.2425 0.5976 0.2532
0.3476 0.4925 0.7532
0.0464 0.3718 0.2096
0.5868 0.4122 0.2904
0.7393 0.5944 0.2468
0.9430 0.6571 0.7170
0.4024 0.6556 0.6450
0.9760 0.1900 0.7830
0.5075 0.2607 0.8550
0.4056 0.6524 0.1450
0.4071 0.1930 0.2170
0.1622 0.8368 0.7904
0.7036 0.4132 0.8255
0.8070 0.0240 0.2140
0.6282 0.8378 0.6745
0.3750 0.9775 0.1025
0.5000 0.5000 0.0000
0.8750 0.2725 0.8975
0.2500 0.7500 0.5000
0.0225 0.1250 0.3975
0.7275 0.6250 0.6025
0.7278 0.7278 0.0000
0.0222 0.5222 0.5000
0.8750 0.8702 0.4952
0.3750 0.3798 0.5048
0.2722 0.2722 0.0000
0.6202 0.1250 0.9952
0.4778 0.9778 0.5000
0.1298 0.6250 0.0048
0.0000 0.0000 0.0000
0.7500 0.2500 0.5000
```

***

(2)
VASP calculation (GGA+U) on a geometry-optimized LiNiP2O7 structure.

Values from the calculation:
Size of the total moment ... 0.104 μB/atom

```
LiNiP2O7
1.0
8.3382 0.0000 0.0000
0.0000 4.9040 0.0000
0.0000 2.4478 6.7307
Ni O P Li
2 14 4 2
Direct
0.0016 0.2206 0.2786
0.5016 0.7794 0.7214
0.6544 0.6067 0.2416
0.3369 0.9462 0.8720
0.1798 0.4047 0.3996
0.6798 0.5953 0.6004
0.3389 0.7573 0.5140
0.8389 0.2427 0.4860
0.9341 0.6103 0.0779
0.5361 0.1927 0.5115
0.1980 0.1407 0.1210
0.0361 0.8073 0.4885
0.8369 0.0538 0.1280
0.4341 0.3897 0.9221
0.1544 0.3933 0.7584
0.6980 0.8593 0.8790
0.1791 0.5999 0.5258
0.2815 0.2092 0.9214
0.7815 0.7908 0.0786
0.6791 0.4001 0.4742
0.3544 0.1766 0.3422
0.8544 0.8234 0.6578
```

***

(3)
VASP calculation (GGA+U) on a geometry-optimized LiNiP2O7 structure.

Values from the calculation:
Size of the total moment ... 0.273 μB/atom

```
LiNiP2O7
1.0
-5.8686 4.9918 2.1079
-2.0748 -4.6055 5.1300
4.5377 1.9445 8.0286
O Li P Ni
28 4 8 4
Direct
0.2876 0.6905 0.3755
0.5777 0.9524 0.8433
0.6083 0.8798 0.3992
0.8622 0.2889 0.4071
0.9223 0.9524 0.3433
0.1637 0.3828 0.5646
0.0795 0.5352 0.1434
0.7876 0.3095 0.1245
0.2003 0.1856 0.3830
0.7003 0.8144 0.1170
0.3622 0.7111 0.0929
0.3363 0.3828 0.0646
0.3917 0.1202 0.6008
0.4223 0.0476 0.1567
0.2124 0.6905 0.8755
0.8363 0.6172 0.4354
0.7997 0.8144 0.6170
0.4205 0.5352 0.6434
0.0777 0.0476 0.6567
0.5795 0.4648 0.3566
0.6637 0.6172 0.9354
0.1083 0.1202 0.1008
0.7124 0.3095 0.6245
0.8917 0.8798 0.8992
0.2997 0.1856 0.8830
0.1378 0.7111 0.5929
0.9205 0.4648 0.8566
0.6378 0.2889 0.9071
0.5270 0.1960 0.2835
0.9730 0.1960 0.7835
0.4730 0.8040 0.7165
0.0270 0.8040 0.2165
0.7092 0.8296 0.9514
0.2630 0.5842 0.5452
0.7908 0.8296 0.4514
0.2908 0.1704 0.0486
0.7370 0.4158 0.4548
0.7630 0.4158 0.9548
0.2092 0.1704 0.5486
0.2370 0.5842 0.0452
0.0046 0.7604 0.7517
0.9954 0.2396 0.2483
0.5046 0.2396 0.7483
0.4954 0.7604 0.2517
```

***

(4)
VASP calculation (GGA+U) on a geometry-optimized Li2NiP5O15 structure.

Values from the calculation:
Size of the total moment ... 0.057 μB/atom

```
Li2NiP5O15
1.0
-3.0284 -4.9685 -7.2420
4.6605 0.3105 -2.1619
7.3929 -10.1942 3.9024
Li O Ni P
4 30 2 10
Direct
0.3422 0.0527 0.0527
0.6577 0.0527 0.5527
0.3513 0.9487 0.4497
0.6487 0.9487 0.9497
0.5130 0.7399 0.5620
0.5053 0.2612 0.9394
0.3486 0.3118 0.6160
0.1748 0.2880 0.9412
0.9215 0.0495 0.8399
0.1378 0.2929 0.5017
0.0785 0.0495 0.3399
0.0777 0.9660 0.1538
0.8252 0.2880 0.4412
0.4870 0.7399 0.0620
0.8622 0.2929 0.0017
0.4947 0.2612 0.4394
0.8204 0.7232 0.0544
0.6514 0.3118 0.1160
0.8913 0.2694 0.1999
0.8926 0.7434 0.2950
0.8669 0.7184 0.4937
0.1087 0.2694 0.6999
0.1331 0.7184 0.9937
0.5626 0.5006 0.2500
0.6117 0.2527 0.6580
0.9223 0.9660 0.6538
0.4374 0.5006 0.7500
0.3883 0.2527 0.1580
0.6543 0.6960 0.3814
0.3457 0.6960 0.8814
0.1796 0.7232 0.5544
0.6100 0.7443 0.8448
0.1074 0.7434 0.7950
0.3900 0.7443 0.3448
0.0022 0.0065 0.4972
0.9978 0.0065 0.9972
0.8183 0.5977 0.4102
0.1817 0.5977 0.9102
0.0008 0.0072 0.7472
0.5092 0.4549 0.1421
0.9992 0.0072 0.2472
0.8147 0.4133 0.0855
0.4874 0.5465 0.8585
0.1853 0.4133 0.5855
0.5126 0.5465 0.3585
0.4908 0.4549 0.6421
```

***

(5)
VASP calculation (GGA+U) on a geometry-optimized LiNiPO4 structure.

Values from the calculation:
Size of the total moment ... 0.286 μB/atom

```
LiNiPO4
1.0
4.8552 0.0000 0.0000
0.0000 6.2242 0.0000
0.0000 0.0000 9.5137
O Ni P Li
16 4 4 4
Direct
0.6602 0.5503 0.6107
0.3398 0.0503 0.3893
0.6602 0.9497 0.6107
0.1174 0.2500 0.6575
0.1602 0.0503 0.8893
0.2194 0.7500 0.6629
0.3826 0.2500 0.1575
0.8398 0.9497 0.1107
0.2806 0.7500 0.1629
0.7194 0.2500 0.8371
0.7806 0.2500 0.3371
0.8398 0.5503 0.1107
0.8826 0.7500 0.3425
0.6174 0.7500 0.8425
0.3398 0.4497 0.3893
0.1602 0.4497 0.8893
0.0361 0.7500 0.8526
0.4639 0.7500 0.3526
0.9639 0.2500 0.1474
0.5361 0.2500 0.6474
0.4641 0.2500 0.3170
0.0359 0.2500 0.8170
0.5359 0.7500 0.6830
0.9641 0.7500 0.1830
0.5000 0.0000 0.0000
0.0000 0.0000 0.5000
0.0000 0.5000 0.5000
0.5000 0.5000 0.0000
```

***

(6)
VASP calculation (GGA+U) on a geometry-optimized LiNiP2O7 structure.

Values from the calculation:
Size of the total moment ... 0.091 μB/atom

```
LiNiP2O7
1.0
-6.9336 0.4894 3.7211
-0.8375 -6.7337 -0.6750
3.6113 -4.5618 7.3289
P O Ni Li
8 28 4 4
Direct
0.5407 0.3446 0.7020
0.9153 0.7410 0.8008
0.4153 0.7590 0.6992
0.5847 0.2410 0.3008
0.9593 0.8446 0.2020
0.4593 0.6554 0.2980
0.0847 0.2590 0.1992
0.0407 0.1554 0.7980
0.5821 0.2503 0.1325
0.5977 0.4849 0.2893
0.9179 0.7503 0.6325
0.6884 0.4515 0.5980
0.3116 0.5485 0.4020
0.0916 0.6613 0.8637
0.0821 0.2497 0.3675
0.0977 0.0151 0.2107
0.9399 0.3073 0.8522
0.2350 0.3673 0.1016
0.7650 0.6327 0.8984
0.4023 0.5151 0.7107
0.7350 0.1327 0.3984
0.5920 0.2140 0.8703
0.9084 0.3387 0.1363
0.0601 0.6927 0.1478
0.8116 0.9515 0.0980
0.1884 0.0485 0.9020
0.2650 0.8673 0.6016
0.5601 0.8073 0.3522
0.4399 0.1927 0.6478
0.9023 0.9849 0.7893
0.9080 0.7140 0.3703
0.0920 0.2860 0.6297
0.4084 0.1613 0.3637
0.4080 0.7860 0.1297
0.4179 0.7497 0.8675
0.5916 0.8387 0.6363
0.2677 0.2250 0.5018
0.7323 0.7750 0.4982
0.2323 0.7250 0.0018
0.7677 0.2750 0.9982
0.3739 0.1659 0.0301
0.8739 0.3341 0.4699
0.6261 0.8341 0.9699
0.1261 0.6659 0.5301
```

***

Ordered mass density results: 4353, 2891, 3118, 2615, 3711, 3385; unit kg/m3.
Ordered energy above the lowest structure with this stoichiometry results: 0, 54, 67, 0, 99, 33; unit meV per atom.
Ordered energy of formation results: -2.17, -2.24, -2.23, -2.44, -2.27, -2.27; unit eV per atom.